Entry 1:
VASP calculation (GGA-PBE) on a relaxed Rb3TmCl6 crystal.

Cell and atoms, written as POSCAR:
```
Rb3TmCl6
1.0
-6.3989 -4.7815 -1.1839
-7.4570 3.0831 0.3124
-4.3669 0.6980 -6.7567
Cl Rb Tm
6 3 1
Direct
0.2275 0.2275 0.7725 Cl
0.2275 0.7725 0.7725 Cl
0.7725 0.2275 0.2275 Cl
0.7725 0.2275 0.7725 Cl
0.7725 0.7725 0.2275 Cl
0.2275 0.7725 0.2275 Cl
0.5000 0.5000 0.5000 Rb
0.7500 0.7500 0.7500 Rb
0.2500 0.2500 0.2500 Rb
0.0000 0.0000 0.0000 Tm
```

calculated total energy = -39.37 eV per cell

Entry 2:
VASP calculation (GGA-PBE) on a relaxed Rb2UCl5 crystal.

Cell and atoms, written as POSCAR:
```
Rb2UCl5
1.0
-7.0319 4.5192 0.5355
-2.9527 -3.6851 -7.6741
-5.8362 -9.9113 7.0049
Cl U Rb
20 4 8
Direct
0.3828 0.7500 0.1756 Cl
0.6604 0.0409 0.0720 Cl
0.6532 0.7500 0.8031 Cl
0.1172 0.7500 0.6756 Cl
0.4048 0.2500 0.4903 Cl
0.8468 0.7500 0.3031 Cl
0.9048 0.7500 0.0097 Cl
0.6604 0.4591 0.0720 Cl
0.1604 0.9591 0.4280 Cl
0.1532 0.2500 0.6969 Cl
0.3468 0.2500 0.1969 Cl
0.5952 0.7500 0.5097 Cl
0.3396 0.5409 0.9280 Cl
0.8396 0.4591 0.5720 Cl
0.1604 0.5409 0.4280 Cl
0.3396 0.9591 0.9280 Cl
0.8828 0.2500 0.3244 Cl
0.6172 0.2500 0.8244 Cl
0.8396 0.0409 0.5720 Cl
0.0952 0.2500 0.9903 Cl
0.9342 0.7500 0.5027 U
0.0658 0.2500 0.4973 U
0.5658 0.7500 0.0027 U
0.4342 0.2500 0.9973 U
0.5560 0.0054 0.3300 Rb
0.4440 0.5054 0.6700 Rb
0.4440 0.9946 0.6700 Rb
0.5560 0.4946 0.3300 Rb
0.9440 0.4946 0.8300 Rb
0.9440 0.0054 0.8300 Rb
0.0560 0.5054 0.1700 Rb
0.0560 0.9946 0.1700 Rb
```

calculated total energy = -150.04 eV per cell

Entry 3:
VASP calculation (GGA-PBE) on a relaxed Rb2VCl6 crystal.

Cell and atoms, written as POSCAR:
```
Rb2VCl6
1.0
-7.0839 -1.1837 -0.4355
-4.3954 5.2496 -2.2125
-3.1837 -0.4476 -6.4371
Cl Rb V
6 2 1
Direct
0.2286 0.7714 0.7714 Cl
0.7714 0.2286 0.2286 Cl
0.7714 0.7714 0.2286 Cl
0.7714 0.2286 0.7714 Cl
0.2286 0.7714 0.2286 Cl
0.2286 0.2286 0.7714 Cl
0.7500 0.7500 0.7500 Rb
0.2500 0.2500 0.2500 Rb
0.0000 0.0000 0.0000 V
```

calculated total energy = -36.05 eV per cell

Entry 4:
VASP calculation (GGA-PBE) on a relaxed Rb2WCl6 crystal.

Cell and atoms, written as POSCAR:
```
Rb2WCl6
1.0
0.9697 -5.2732 -4.8856
-4.4144 -5.7556 -0.0487
-4.7698 -0.8670 -5.3958
Cl W Rb
6 1 2
Direct
0.7663 0.7663 0.2337 Cl
0.7663 0.2337 0.2337 Cl
0.2337 0.7663 0.7663 Cl
0.7663 0.2337 0.7663 Cl
0.2337 0.2337 0.7663 Cl
0.2337 0.7663 0.2337 Cl
0.0000 0.0000 0.0000 W
0.7500 0.7500 0.7500 Rb
0.2500 0.2500 0.2500 Rb
```

calculated total energy = -38.39 eV per cell